Crystalline Y5Bi3 at its relaxed geometry, computed with GGA-PBE.

POSCAR file:
```
Y5Bi3
1.0
12.093 0.000 0.000
0.000 9.559 0.000
0.000 0.000 8.331
Y Bi
20 12
direct
0.270 0.750 0.333 Y
0.994 0.750 0.476 Y
0.230 0.250 0.833 Y
0.506 0.250 0.976 Y
0.789 0.250 0.157 Y
0.711 0.750 0.657 Y
0.770 0.750 0.167 Y
0.566 0.060 0.308 Y
0.289 0.250 0.343 Y
0.934 0.940 0.808 Y
0.434 0.940 0.692 Y
0.006 0.250 0.524 Y
0.494 0.750 0.024 Y
0.730 0.250 0.667 Y
0.566 0.440 0.308 Y
0.066 0.060 0.192 Y
0.066 0.440 0.192 Y
0.211 0.750 0.843 Y
0.934 0.560 0.808 Y
0.434 0.560 0.692 Y
0.674 0.991 0.934 Bi
0.174 0.509 0.566 Bi
0.326 0.491 0.066 Bi
0.826 0.009 0.434 Bi
0.174 0.991 0.566 Bi
0.826 0.491 0.434 Bi
0.975 0.250 0.904 Bi
0.475 0.250 0.596 Bi
0.025 0.750 0.096 Bi
0.326 0.009 0.066 Bi
0.674 0.509 0.934 Bi
0.525 0.750 0.404 Bi
```

## Properties
SG: Pnma (62)
ΔH_f (0 K): -0.719 eV per atom
M_tot: 0.07 μB per formula unit
Total DFT energy (no corrections): -199.02 eV for the cell shown
Polymorph energy (0 for the lowest one): 7.5 meV per atom

Crystalline Ag2S at its relaxed geometry, computed with GGA-PBE.

POSCAR file:
```
Ag2S
1.0
-5.338 4.367 -2.688
-1.960 -3.477 -1.757
-5.304 -3.237 5.274
Ag S
8 4
direct
0.807 0.855 0.943 Ag
0.009 0.523 0.706 Ag
0.491 0.523 0.206 Ag
0.693 0.855 0.443 Ag
0.307 0.145 0.557 Ag
0.991 0.477 0.294 Ag
0.193 0.145 0.057 Ag
0.509 0.477 0.794 Ag
0.237 0.740 0.859 S
0.763 0.260 0.141 S
0.263 0.740 0.359 S
0.737 0.260 0.641 S
```

## Properties
SG: P2_1/c (14)
ΔH_f (0 K): -0.199 eV per atom
M_tot: 0.00 μB per formula unit
Total DFT energy (no corrections): -39.58 eV for the cell shown

Crystalline ZnSnN2 at its relaxed geometry, computed with GGA-PBE.

POSCAR file:
```
ZnSnN2
1.0
-3.531 -1.621 -3.950
-1.280 -4.846 3.134
-5.040 3.354 3.128
N Zn Sn
8 4 4
direct
0.374 0.081 0.624 N
0.878 0.418 0.626 N
0.378 0.582 0.374 N
0.374 0.581 0.876 N
0.378 0.082 0.126 N
0.874 0.419 0.124 N
0.878 0.918 0.874 N
0.874 0.919 0.376 N
0.999 0.083 0.625 Zn
0.499 0.917 0.375 Zn
0.999 0.583 0.875 Zn
0.499 0.417 0.125 Zn
0.499 0.913 0.875 Sn
0.499 0.413 0.625 Sn
0.999 0.587 0.375 Sn
0.999 0.087 0.125 Sn
```

## Properties
SG: Pna2_1 (33)
Largest piezoelectric modulus: 1.07 C/m2
ΔH_f (0 K): -0.140 eV per atom
Total DFT energy (no corrections): -87.12 eV for the cell shown

Crystalline Tm2Cr2C3 at its relaxed geometry, computed with GGA-PBE.

POSCAR file:
```
Tm2Cr2C3
1.0
-2.294 -4.684 -1.667
-1.877 -4.885 1.611
-5.422 0.656 0.730
Cr Tm C
2 2 3
direct
0.845 0.845 0.887 Cr
0.155 0.155 0.113 Cr
0.608 0.608 0.684 Tm
0.392 0.392 0.316 Tm
0.000 0.000 0.000 C
0.719 0.719 0.235 C
0.281 0.281 0.765 C
```

## Properties
SG: C2/m (12)
ΔH_f (0 K): -0.339 eV per atom
Total DFT energy (no corrections): -58.32 eV for the cell shown

Crystalline P2Pd3S8 at its relaxed geometry, computed with GGA-PBE.

POSCAR file:
```
P2Pd3S8
1.0
3.624 -6.276 0.000
3.624 6.276 0.000
0.000 0.000 7.579
S Pd P
8 3 2
direct
0.813 0.187 0.829 S
0.667 0.333 0.435 S
0.626 0.813 0.171 S
0.374 0.187 0.829 S
0.187 0.374 0.171 S
0.813 0.626 0.829 S
0.187 0.813 0.171 S
0.333 0.667 0.565 S
0.500 0.000 0.000 Pd
0.000 0.500 0.000 Pd
0.500 0.500 0.000 Pd
0.333 0.667 0.313 P
0.667 0.333 0.687 P
```

## Properties
SG: P-3m1 (164)
ΔH_f (0 K): -0.636 eV per atom
Total DFT energy (no corrections): -63.70 eV for the cell shown

Crystalline NdMnSi at its relaxed geometry, computed with GGA-PBE.

POSCAR file:
```
NdMnSi
1.0
3.978 0.000 0.000
0.000 3.978 0.000
0.000 0.000 7.524
Si Mn Nd
2 2 2
direct
0.000 0.500 0.816 Si
0.500 0.000 0.184 Si
0.000 0.000 0.000 Mn
0.500 0.500 0.000 Mn
0.000 0.500 0.326 Nd
0.500 0.000 0.674 Nd
```

## Properties
SG: P4/nmm (129)
ΔH_f (0 K): -0.479 eV per atom
M_tot: 1.97 μB per formula unit
Total DFT energy (no corrections): -41.73 eV for the cell shown

Crystalline Y2O3 at its relaxed geometry, computed with GGA-PBE.

POSCAR file:
```
Y2O3
1.0
-3.551 3.912 -0.309
-2.578 -2.011 4.162
2.959 2.943 3.255
O Y
6 4
direct
0.000 0.500 0.500 O
0.500 0.000 0.500 O
0.000 0.500 0.000 O
0.500 0.000 0.000 O
0.500 0.500 0.000 O
0.000 0.000 0.500 O
0.750 0.250 0.250 Y
0.250 0.250 0.750 Y
0.250 0.750 0.250 Y
0.750 0.750 0.750 Y
```

## Properties
SG: Pn-3m (224)
ΔH_f (0 K): -3.478 eV per atom
M_tot: 0.00 μB per formula unit
Total DFT energy (no corrections): -86.21 eV for the cell shown

Crystalline P2Pb3O8 at its relaxed geometry, computed with GGA-PBE.

POSCAR file:
```
P2Pb3O8
1.0
4.964 -8.598 0.000
4.964 8.598 0.000
0.000 0.000 7.350
O P Pb
24 6 9
direct
0.337 0.072 0.918 O
0.424 0.906 0.250 O
0.348 0.081 0.581 O
0.267 0.348 0.080 O
0.733 0.652 0.581 O
0.264 0.351 0.421 O
0.908 0.483 0.746 O
0.919 0.267 0.581 O
0.575 0.092 0.746 O
0.481 0.576 0.250 O
0.081 0.733 0.080 O
0.652 0.919 0.080 O
0.163 0.479 0.751 O
0.735 0.663 0.918 O
0.928 0.265 0.918 O
0.649 0.914 0.421 O
0.094 0.519 0.250 O
0.689 0.160 0.256 O
0.521 0.684 0.751 O
0.086 0.736 0.421 O
0.316 0.837 0.751 O
0.517 0.425 0.746 O
0.471 0.311 0.256 O
0.840 0.529 0.256 O
0.396 0.020 0.751 P
0.019 0.627 0.252 P
0.607 0.981 0.252 P
0.980 0.376 0.751 P
0.373 0.393 0.252 P
0.624 0.604 0.751 P
0.333 0.667 0.502 Pb
0.995 0.741 0.755 Pb
0.667 0.333 0.485 Pb
0.747 0.736 0.244 Pb
0.989 0.253 0.244 Pb
0.259 0.254 0.755 Pb
0.333 0.667 0.997 Pb
0.746 0.005 0.755 Pb
0.264 0.011 0.244 Pb
```

## Properties
SG: P3 (143)
ΔH_f (0 K): -2.320 eV per atom
Total DFT energy (no corrections): -258.65 eV for the cell shown
Polymorph energy (0 for the lowest one): 14.9 meV per atom

Crystalline ZrN2 at its relaxed geometry, computed with GGA-PBE.

POSCAR file:
```
ZrN2
1.0
-1.289 2.850 2.145
-3.556 0.033 -2.180
-1.736 -2.883 2.788
N Zr
4 2
direct
0.000 0.500 0.000 N
0.500 0.500 0.500 N
0.500 0.147 0.500 N
0.000 0.853 0.000 N
0.000 0.750 0.500 Zr
0.500 0.250 0.000 Zr
```

## Properties
SG: Pmmn (59)
ΔH_f (0 K): -0.972 eV per atom
M_tot: 0.00 μB per formula unit
Total DFT energy (no corrections): -54.83 eV for the cell shown